Entry 1:
{"formula": "Li8Mn7FeB8O24", "functional": "PBE with a Hubbard U", "state": "relaxed", "cell": [[5.2830, 0.0000, 0.0000], [2.4093, 5.5610, 0.0000], [2.6334, 1.1400, 17.4766]], "species": ["Li", "Li", "Li", "Li", "Li", "Li", "Li", "Li", "Mn", "Mn", "Mn", "Mn", "Mn", "Mn", "Mn", "Fe", "B", "B", "B", "B", "B", "B", "B", "B", "O", "O", "O", "O", "O", "O", "O", "O", "O", "O", "O", "O", "O", "O", "O", "O", "O", "O", "O", "O", "O", "O", "O", "O"], "fractional_positions": [[0.0000, 0.0000, 0.0000], [0.0006, 0.4988, 0.4995], [0.3060, 0.9381, 0.7154], [0.3071, 0.4382, 0.2155], [0.5007, 0.2487, 0.7496], [0.5028, 0.7467, 0.2488], [0.8057, 0.1883, 0.4652], [0.8070, 0.6876, 0.9661], [0.3566, 0.1807, 0.3795], [0.3570, 0.6816, 0.8792], [0.4464, 0.0104, 0.0868], [0.4501, 0.5051, 0.5856], [0.8567, 0.9314, 0.6293], [0.9503, 0.2554, 0.8356], [0.9503, 0.7558, 0.3355], [0.8519, 0.4342, 0.1279], [0.3424, 0.5377, 0.0497], [0.3437, 0.0396, 0.5489], [0.4627, 0.1466, 0.9165], [0.4627, 0.6471, 0.4162], [0.8440, 0.7896, 0.7989], [0.8459, 0.2895, 0.2980], [0.9613, 0.8988, 0.1661], [0.9628, 0.3972, 0.6662], [0.0243, 0.0483, 0.1062], [0.0256, 0.5458, 0.6059], [0.0720, 0.8499, 0.7997], [0.0737, 0.3495, 0.2997], [0.1324, 0.8047, 0.2238], [0.1328, 0.3046, 0.7241], [0.1736, 0.1322, 0.4910], [0.1768, 0.6333, 0.9912], [0.2344, 0.0870, 0.9153], [0.2344, 0.5875, 0.4153], [0.2708, 0.3944, 0.1101], [0.2811, 0.8908, 0.6092], [0.5263, 0.2951, 0.8563], [0.5263, 0.7951, 0.3558], [0.5716, 0.0999, 0.5497], [0.5779, 0.5890, 0.0511], [0.6311, 0.0534, 0.9746], [0.6326, 0.5547, 0.4741], [0.6738, 0.8820, 0.7411], [0.6806, 0.3808, 0.2391], [0.7340, 0.8382, 0.1650], [0.7350, 0.3368, 0.6654], [0.7796, 0.1429, 0.3584], [0.7813, 0.6412, 0.8593]], "formation_energy_mev_per_atom": -2484, "spacegroup": "P1 (1)", "energy_ha_per_atom": -0.2671}

---

Entry 2:
{"formula": "Li6MnFe5B6O18", "functional": "PBE with a Hubbard U", "state": "relaxed", "cell": [[8.2536, -3.1366, 0.0000], [8.2536, 3.1366, 0.0000], [-4.1110, 0.0000, 7.1491]], "species": ["Li", "Li", "Li", "Li", "Li", "Li", "Mn", "Fe", "Fe", "Fe", "Fe", "Fe", "B", "B", "B", "B", "B", "B", "O", "O", "O", "O", "O", "O", "O", "O", "O", "O", "O", "O", "O", "O", "O", "O", "O", "O"], "fractional_positions": [[0.0901, 0.5917, 0.4132], [0.2492, 0.7508, 0.0000], [0.3848, 0.8848, 0.6822], [0.5917, 0.0901, 0.4132], [0.7508, 0.2492, 0.0000], [0.8848, 0.3848, 0.6822], [0.4855, 0.4855, 0.3255], [0.1758, 0.1758, 0.0579], [0.3123, 0.3123, 0.7060], [0.6755, 0.6755, 0.0575], [0.8118, 0.8118, 0.7054], [0.9881, 0.9881, 0.3306], [0.0728, 0.5759, 0.0302], [0.4072, 0.9111, 0.3647], [0.4929, 0.4929, 0.7005], [0.5759, 0.0728, 0.0302], [0.9111, 0.4072, 0.3647], [0.9920, 0.9920, 0.6982], [0.0345, 0.0345, 0.8923], [0.0466, 0.0466, 0.6124], [0.1140, 0.6152, 0.9162], [0.1278, 0.6347, 0.2242], [0.3083, 0.8160, 0.2787], [0.3956, 0.3956, 0.5891], [0.4520, 0.9525, 0.2563], [0.4629, 0.9634, 0.5592], [0.4772, 0.9780, 0.9510], [0.5339, 0.5339, 0.8949], [0.5488, 0.5488, 0.6186], [0.6152, 0.1140, 0.9162], [0.6347, 0.1278, 0.2242], [0.8160, 0.3083, 0.2787], [0.8949, 0.8949, 0.5891], [0.9525, 0.4520, 0.2563], [0.9634, 0.4629, 0.5592], [0.9780, 0.4772, 0.9510]], "formation_energy_mev_per_atom": -2357, "spacegroup": "Cm (8)", "energy_ha_per_atom": -0.2569}

---

Entry 3:
{"formula": "Li2MnFeB2O6", "functional": "PBE with a Hubbard U", "state": "relaxed", "cell": [[8.2522, 0.0000, 0.0000], [0.0000, 6.3267, 0.0000], [-4.1165, 0.0000, 7.1572]], "species": ["Li", "Li", "Li", "Li", "Li", "Li", "Mn", "Mn", "Mn", "Fe", "Fe", "Fe", "B", "B", "B", "B", "B", "B", "O", "O", "O", "O", "O", "O", "O", "O", "O", "O", "O", "O", "O", "O", "O", "O", "O", "O"], "fractional_positions": [[0.0000, 0.2493, 0.0000], [0.0000, 0.7507, 0.0000], [0.2675, 0.2494, 0.6825], [0.2675, 0.7506, 0.6825], [0.5871, 0.2508, 0.2679], [0.5871, 0.7492, 0.2679], [0.2973, 0.5000, 0.3555], [0.2976, 0.0000, 0.3572], [0.6448, 0.5000, 0.9713], [0.6441, 0.0000, 0.9773], [0.9170, 0.0000, 0.6241], [0.9181, 0.5000, 0.6251], [0.2828, 0.0000, 0.9815], [0.2826, 0.5000, 0.9833], [0.6211, 0.2484, 0.6513], [0.6211, 0.7516, 0.6513], [0.9512, 0.2484, 0.3188], [0.9512, 0.7516, 0.3188], [0.1449, 0.2501, 0.4044], [0.1449, 0.7499, 0.4044], [0.1684, 0.5000, 0.0628], [0.1724, 0.0000, 0.0645], [0.2006, 0.0000, 0.7879], [0.2019, 0.5000, 0.7891], [0.4764, 0.5000, 0.0966], [0.4781, 0.0000, 0.0928], [0.5084, 0.2500, 0.4573], [0.5084, 0.7500, 0.4573], [0.5390, 0.2464, 0.7634], [0.5390, 0.7536, 0.7634], [0.8146, 0.2496, 0.7312], [0.8146, 0.7504, 0.7312], [0.8432, 0.2465, 0.1250], [0.8432, 0.7535, 0.1250], [0.8654, 0.2500, 0.4273], [0.8654, 0.7500, 0.4273]], "formation_energy_mev_per_atom": -2418, "spacegroup": "Pm (6)", "energy_ha_per_atom": -0.2618}

---

Entry 4:
{"formula": "Li2MnFeB2O6", "functional": "PBE with a Hubbard U", "state": "relaxed", "cell": [[8.2599, 0.0000, 0.0000], [0.0000, 3.1616, 0.0000], [-0.0055, 0.0000, 14.3077]], "species": ["Li", "Li", "Li", "Li", "Li", "Li", "Mn", "Mn", "Mn", "Fe", "Fe", "Fe", "B", "B", "B", "B", "B", "B", "O", "O", "O", "O", "O", "O", "O", "O", "O", "O", "O", "O", "O", "O", "O", "O", "O", "O"], "fractional_positions": [[0.0000, 0.0000, 0.0000], [0.0252, 0.0000, 0.7058], [0.0741, 0.0000, 0.3405], [0.5029, 0.0000, 0.4991], [0.5287, 0.0000, 0.2074], [0.5753, 0.0000, 0.8403], [0.1758, 0.5000, 0.5286], [0.1939, 0.5000, 0.1634], [0.2347, 0.5000, 0.8546], [0.6805, 0.5000, 0.0285], [0.6917, 0.5000, 0.6648], [0.7300, 0.5000, 0.3528], [0.3688, 0.5000, 0.3497], [0.3702, 0.0000, 0.0161], [0.3697, 0.0000, 0.6821], [0.8650, 0.0000, 0.5149], [0.8656, 0.0000, 0.1821], [0.8665, 0.5000, 0.8480], [0.0044, 0.5000, 0.7921], [0.0167, 0.0000, 0.1396], [0.0189, 0.0000, 0.4748], [0.2150, 0.5000, 0.3096], [0.2291, 0.0000, 0.6290], [0.2312, 0.0000, 0.9607], [0.3548, 0.0000, 0.1130], [0.3594, 0.0000, 0.7790], [0.3862, 0.5000, 0.4463], [0.5064, 0.5000, 0.2930], [0.5206, 0.0000, 0.6388], [0.5231, 0.0000, 0.9753], [0.7140, 0.5000, 0.8066], [0.7265, 0.0000, 0.1272], [0.7293, 0.0000, 0.4573], [0.8484, 0.0000, 0.6119], [0.8540, 0.0000, 0.2792], [0.8803, 0.5000, 0.9452]], "formation_energy_mev_per_atom": -2418, "spacegroup": "Pm (6)", "energy_ha_per_atom": -0.2617}

---

Entry 5:
{"formula": "Li6MnFe5B6O18", "functional": "PBE with a Hubbard U", "state": "relaxed", "cell": [[8.2417, 0.0000, 0.0000], [0.0000, 3.1370, 0.0000], [-0.0155, 0.0000, 14.2953]], "species": ["Li", "Li", "Li", "Li", "Li", "Li", "Mn", "Fe", "Fe", "Fe", "Fe", "Fe", "B", "B", "B", "B", "B", "B", "O", "O", "O", "O", "O", "O", "O", "O", "O", "O", "O", "O", "O", "O", "O", "O", "O", "O"], "fractional_positions": [[0.0000, 0.0000, 0.0000], [0.0240, 0.0000, 0.2952], [0.0738, 0.0000, 0.6594], [0.5022, 0.0000, 0.5016], [0.5271, 0.0000, 0.7934], [0.5734, 0.0000, 0.1591], [0.2336, 0.5000, 0.1457], [0.1795, 0.5000, 0.4717], [0.1909, 0.5000, 0.8351], [0.6804, 0.5000, 0.9715], [0.6905, 0.5000, 0.3352], [0.7315, 0.5000, 0.6473], [0.3673, 0.5000, 0.6517], [0.3679, 0.0000, 0.3194], [0.3681, 0.0000, 0.9828], [0.8660, 0.5000, 0.1525], [0.8669, 0.0000, 0.4849], [0.8672, 0.0000, 0.8181], [0.0036, 0.5000, 0.2081], [0.0184, 0.0000, 0.8608], [0.0218, 0.0000, 0.5243], [0.2157, 0.5000, 0.6941], [0.2267, 0.0000, 0.3726], [0.2298, 0.0000, 0.0394], [0.3504, 0.0000, 0.8861], [0.3584, 0.0000, 0.2226], [0.3791, 0.5000, 0.5547], [0.5074, 0.5000, 0.7060], [0.5184, 0.0000, 0.3630], [0.5212, 0.0000, 0.0235], [0.7127, 0.5000, 0.1937], [0.7276, 0.0000, 0.8721], [0.7309, 0.0000, 0.5428], [0.8482, 0.0000, 0.3883], [0.8560, 0.0000, 0.7210], [0.8794, 0.5000, 0.0552]], "formation_energy_mev_per_atom": -2356, "spacegroup": "Pm (6)", "energy_ha_per_atom": -0.2568}